[1]
# BaNd2Se4

A relaxed structure of BaNd2Se4 (PBE, Materials Project).

Calculated formation energy (eV/atom): -2.19
Crystal system: tetragonal
Piezoelectric modulus e_max (C/m²): 0.4
V (Å³/cell): 392.5

Lattice parameters (Å, degrees): 7.989 7.989 7.989 109.41 109.41 109.60
Positions (direct):
Se1 0.231 0.642 0.746
Ba1 0.750 0.250 0.500
Se2 0.736 0.646 0.754
Se3 0.514 0.769 0.411
Se4 0.354 0.108 0.089
Nd1 0.125 0.751 0.126
Se5 0.892 0.981 0.246
Se6 0.358 0.104 0.589
Nd2 0.001 0.875 0.626
Nd3 0.249 0.375 0.374
Se7 0.019 0.264 0.911
Se8 0.896 0.486 0.254
Ba2 0.500 0.500 0.000
Nd4 0.625 0.999 0.874


[2]
# MnAl24Cr

A relaxed structure of MnAl24Cr (PBE, Materials Project).

Calculated formation energy (eV/atom): -0.08
Crystal system: monoclinic
V (Å³/cell): 420.6

Lattice parameters (Å, degrees): 6.479 6.479 10.609 89.88 89.88 70.81
Positions (direct):
Al1 0.745 0.745 0.440
Al2 0.662 0.033 0.848
Al3 0.967 0.338 0.152
Al4 0.941 0.941 0.246
Al5 0.245 0.245 0.940
Al6 0.602 0.212 0.093
Mn1 0.500 0.500 0.500
Al7 0.103 0.712 0.592
Al8 0.288 0.897 0.408
Al9 0.897 0.288 0.408
Cr1 0.000 0.000 0.000
Al10 0.712 0.103 0.592
Al11 0.560 0.560 0.256
Al12 0.033 0.662 0.848
Al13 0.788 0.398 0.907
Al14 0.059 0.059 0.754
Al15 0.533 0.162 0.348
Al16 0.755 0.755 0.060
Al17 0.162 0.533 0.348
Al18 0.338 0.967 0.152
Al19 0.467 0.838 0.652
Al20 0.440 0.440 0.744
Al21 0.212 0.602 0.093
Al22 0.398 0.788 0.907
Al23 0.255 0.255 0.560
Al24 0.838 0.467 0.652


[3]
# Sm3CuSnSe7

A relaxed structure of Sm3CuSnSe7 (PBE, Materials Project).

Calculated formation energy (eV/atom): -1.57
M_tot (μB per cell): 0.0
Crystal system: hexagonal
V (Å³/cell): 608.4

Lattice parameters (Å, degrees): 10.494 10.494 6.379 90.00 90.00 120.00
Positions (direct):
Se1 0.154 0.260 0.487
Sm1 0.356 0.142 0.441
Sm2 0.142 0.786 0.941
Se2 0.567 0.081 0.690
Se3 0.846 0.740 0.987
Sn1 0.667 0.333 0.867
Sm3 0.644 0.858 0.941
Cu1 0.000 0.000 0.001
Se4 0.260 0.107 0.987
Sm4 0.214 0.356 0.941
Se5 0.433 0.919 0.190
Sm5 0.786 0.644 0.441
Se6 0.107 0.846 0.487
Se7 0.333 0.667 0.764
Se8 0.667 0.333 0.264
Se9 0.740 0.893 0.487
Se10 0.515 0.433 0.690
Se11 0.893 0.154 0.987
Se12 0.485 0.567 0.190
Sm6 0.858 0.214 0.441
Se13 0.919 0.485 0.690
Sn2 0.333 0.667 0.367
Se14 0.081 0.515 0.190
Cu2 0.000 0.000 0.501


[4]
# SrEuCuBiO6

A relaxed structure of SrEuCuBiO6 (PBE, Materials Project).

Calculated formation energy (eV/atom): -1.99
M_tot (μB per cell): 6.4
Crystal system: cubic
V (Å³/cell): 135.0

Lattice parameters (Å, degrees): 5.758 5.758 5.758 60.00 60.00 60.00
Positions (direct):
O1 0.260 0.740 0.740
O2 0.740 0.740 0.260
O3 0.740 0.260 0.740
Eu1 0.750 0.750 0.750
Sr1 0.250 0.250 0.250
O4 0.260 0.260 0.740
Cu1 0.500 0.500 0.500
O5 0.260 0.740 0.260
Bi1 0.000 0.000 0.000
O6 0.740 0.260 0.260


[5]
# Li3Si2BiO7

A relaxed structure of Li3Si2BiO7 (PBE, Materials Project).

Calculated formation energy (eV/atom): -2.64
M_tot (μB per cell): 0.0
Crystal system: hexagonal
Energy above the most stable polymorph in this dataset (kJ per mole of atoms): 0.0
V (Å³/cell): 984.7

Lattice parameters (Å, degrees): 9.056 9.056 13.865 90.00 90.00 120.00
Positions (direct):
O1 0.766 0.174 0.062
O2 0.776 0.913 0.136
Si1 0.655 0.675 0.641
Li1 0.984 0.671 0.913
Si2 0.326 0.980 0.859
O3 0.293 0.881 0.750
Bi1 0.333 0.667 0.481
O4 0.223 0.086 0.865
O5 0.100 0.567 0.129
O6 0.119 0.411 0.750
O7 0.881 0.589 0.250
O8 0.900 0.433 0.629
O9 0.235 0.823 0.936
O10 0.533 0.102 0.872
Si3 0.655 0.674 0.859
Li2 0.687 0.016 0.913
O11 0.086 0.863 0.365
Li3 0.667 0.333 0.752
Si4 0.345 0.325 0.141
O12 0.777 0.914 0.365
O13 0.177 0.412 0.936
O14 0.087 0.863 0.136
O15 0.408 0.234 0.062
O16 0.467 0.900 0.129
Si5 0.020 0.345 0.641
Li4 0.016 0.329 0.413
Li5 0.014 0.328 0.088
O17 0.467 0.898 0.372
Bi2 0.667 0.333 0.522
Li6 0.000 0.000 0.500
O18 0.567 0.467 0.629
Si6 0.674 0.020 0.359
O19 0.137 0.223 0.365
Li7 0.986 0.672 0.588
O20 0.898 0.431 0.872
O21 0.569 0.467 0.872
Li8 0.687 0.014 0.588
O22 0.826 0.592 0.062
Bi3 0.333 0.667 0.022
Si7 0.345 0.326 0.359
Li9 0.333 0.667 0.762
Li10 0.671 0.687 0.413
Li11 0.313 0.986 0.088
Bi4 0.000 0.000 0.250
O23 0.914 0.137 0.865
O24 0.234 0.826 0.562
Bi5 0.000 0.000 0.750
O25 0.913 0.137 0.636
Si8 0.980 0.655 0.359
O26 0.411 0.293 0.250
O27 0.863 0.777 0.865
Si9 0.980 0.655 0.141
O28 0.707 0.119 0.250
Li12 0.333 0.667 0.252
O29 0.765 0.177 0.436
Li13 0.672 0.687 0.088
O30 0.533 0.100 0.629
Li14 0.667 0.333 0.262
Li15 0.329 0.313 0.913
Si10 0.020 0.345 0.859
Li16 0.000 0.000 0.000
O31 0.823 0.588 0.436
Li17 0.313 0.984 0.413
O32 0.433 0.533 0.129
O33 0.102 0.569 0.372
O34 0.174 0.408 0.562
O35 0.412 0.235 0.436
Si11 0.325 0.980 0.641
O36 0.863 0.776 0.636
Bi6 0.667 0.333 0.981
O37 0.431 0.533 0.372
O38 0.137 0.224 0.136
Si12 0.675 0.020 0.141
O39 0.224 0.087 0.636
O40 0.589 0.707 0.750
O41 0.592 0.766 0.562
Li18 0.328 0.313 0.588
O42 0.588 0.765 0.936


[6]
# CoOs

A relaxed structure of CoOs (PBE, Materials Project).

Calculated formation energy (eV/atom): 0.14
M_tot (μB per cell): 0.9
Crystal system: hexagonal
V (Å³/cell): 25.4

Lattice parameters (Å, degrees): 2.671 2.671 4.117 90.00 90.00 120.00
Positions (direct):
Os1 0.333 0.667 0.000
Co1 0.667 0.333 0.500